# 1
DFT (GGA-PBE) results for crystalline LaScSi at its relaxed geometry.

abc: 8.666 8.666 8.666
angles: 150.94 150.94 41.57
Sites, in units of the cell vectors:
La 0.176 0.176 0.000
La 0.824 0.824 0.000
Sc 0.000 0.500 0.500
Sc 0.500 0.000 0.500
Si 0.382 0.382 0.000
Si 0.618 0.618 0.000

Space group: No. 139
Distance to the lowest polymorph of the same formula: 0 meV per atom
DFT total energy: -37.079 eV for the cell shown
Theoretical density: 4.6 Mg/m³
ΔH_f (0 K): -0.592 eV/atom

=====

# 2
DFT (GGA-PBE) results for crystalline LaScSi at its relaxed geometry.

abc: 7.960 7.960 7.960
angles: 145.37 145.37 49.78
Sites, in units of the cell vectors:
La 0.143 0.143 0.000
La 0.857 0.857 0.000
Sc 0.397 0.397 0.000
Sc 0.603 0.603 0.000
Si 0.000 0.500 0.500
Si 0.500 0.000 0.500

Space group: No. 139
Distance to the lowest polymorph of the same formula: 337 meV per atom
DFT total energy: -35.059 eV for the cell shown
Theoretical density: 4.3 Mg/m³
ΔH_f (0 K): -0.255 eV/atom

=====

# 3
DFT (GGA-PBE) results for crystalline La2ScSi2 at its relaxed geometry.

abc: 7.463 7.463 4.554
angles: 90.00 90.00 90.00
Sites, in units of the cell vectors:
La 0.178 0.322 0.000
La 0.322 0.822 0.000
La 0.678 0.178 0.000
La 0.822 0.678 0.000
Sc 0.000 0.000 0.500
Sc 0.500 0.500 0.500
Si 0.117 0.617 0.500
Si 0.383 0.117 0.500
Si 0.617 0.883 0.500
Si 0.883 0.383 0.500

Space group: No. 127
DFT total energy: -60.997 eV for the cell shown
Theoretical density: 5.0 Mg/m³
ΔH_f (0 K): -0.660 eV/atom

=====

# 4
DFT (GGA-PBE) results for crystalline LaSe2 at its relaxed geometry.

abc: 4.227 4.227 8.704
angles: 90.00 90.00 90.00
Sites, in units of the cell vectors:
La 0.250 0.250 0.224
La 0.750 0.750 0.776
Se 0.250 0.250 0.864
Se 0.250 0.750 0.500
Se 0.750 0.250 0.500
Se 0.750 0.750 0.136

Space group: No. 129
DFT total energy: -34.232 eV for the cell shown
Theoretical density: 6.3 Mg/m³
ΔH_f (0 K): -2.044 eV/atom